Here is a geometry-optimized Mg6CrMo structure from the Materials Project database. Energies are from PBE.

```
16
Lattice="4.930 0.000 0.000 0.000 5.950 0.000 0.000 0.000 10.760" Properties=species:S:1:pos:R:3 pbc="T T T"
Mg 2.465 1.492 4.509
Mg 2.465 4.458 4.509
Mg 0.000 4.433 0.943
Mg 0.000 1.517 0.943
Mg 0.000 0.000 3.497
Mg 0.000 2.975 3.481
Mg 2.465 4.467 9.889
Mg 2.465 1.483 9.889
Mg 0.000 1.458 6.323
Mg 0.000 4.492 6.323
Mg 0.000 2.975 8.877
Mg 0.000 0.000 8.861
Cr 2.465 0.000 1.802
Cr 2.465 2.975 7.182
Mo 2.465 2.975 1.837
Mo 2.465 0.000 7.217
```

Values from the calculation:
Formation enthalpy at 0 K (eV/f.u.): 2.60

Here is a geometry-optimized Mg6CrMo structure from the Materials Project database. Energies are from PBE.

```
16
Lattice="4.744 0.000 0.000 0.000 5.969 0.000 0.000 0.000 11.022" Properties=species:S:1:pos:R:3 pbc="T T T"
Mg 0.000 1.555 0.874
Mg 0.000 4.414 0.874
Mg 0.000 0.000 3.622
Mg 2.372 4.439 4.656
Mg 2.372 1.530 4.656
Mg 2.372 0.000 1.880
Mg 0.000 4.539 6.385
Mg 0.000 1.429 6.385
Mg 0.000 2.984 9.133
Mg 2.372 1.454 10.167
Mg 2.372 4.514 10.167
Mg 2.372 2.984 7.391
Cr 0.000 2.984 3.353
Cr 0.000 0.000 8.864
Mo 2.372 2.984 2.130
Mo 2.372 0.000 7.641
```

Values from the calculation:
Formation enthalpy at 0 K (eV/f.u.): 2.24

Here is a geometry-optimized MgCrN2 structure from the Materials Project database. Energies are from PBE.

```
16
Lattice="5.659 0.000 0.000 0.000 6.550 0.000 0.000 0.000 5.146" Properties=species:S:1:pos:R:3 pbc="T T T"
Mg 0.522 0.796 0.000
Mg 2.308 4.071 2.573
Mg 3.351 2.479 0.000
Mg 5.137 5.754 2.573
Cr 0.420 4.114 0.040
Cr 2.409 0.839 2.613
Cr 3.250 5.711 0.040
Cr 5.239 2.436 2.613
N 0.338 3.966 1.888
N 0.599 0.944 2.125
N 2.231 4.219 4.699
N 2.491 0.691 4.461
N 3.168 5.859 1.888
N 3.428 2.331 2.125
N 5.060 5.606 4.699
N 5.321 2.584 4.461
```

Values from the calculation:
Formation enthalpy at 0 K (eV/f.u.): -3.22